[1]
Computed, not measured: crystalline MgTi2S4 at its relaxed geometry at the GGA-PBE level of DFT.

Cell: 5.9834 3.4545 13.6591 Å, 90.00 90.24 90.00°
With the nearest neighbours (Å) after each atom.
Positions (direct):
Mg: 0.0000 0.0000 0.0000  4 S 2.37-2.47
Mg: 0.5000 0.5000 0.0000  4 S 2.37-2.47
Ti: 0.3293 0.0000 0.2865  6 S 2.43-2.52
Ti: 0.4968 0.5000 0.7662  6 S 2.40-2.65
Ti: 0.8293 0.5000 0.2865  6 S 2.43-2.52
Ti: 0.9968 0.0000 0.7662  6 S 2.40-2.65
S: 0.3290 0.0000 0.6684  3 Ti 2.40
S: 0.3318 0.0000 0.8935  3 Mg 2.47, 3 Ti 2.64-2.65
S: 0.4952 0.5000 0.1732  1 Mg 2.37, 3 Ti 2.52
S: 0.4967 0.5000 0.3881  3 Ti 2.43
S: 0.8290 0.5000 0.6684  3 Ti 2.40
S: 0.8318 0.5000 0.8935  3 Mg 2.47, 3 Ti 2.64-2.65
S: 0.9952 0.0000 0.1732  1 Mg 2.37, 3 Ti 2.52
S: 0.9967 0.0000 0.3881  3 Ti 2.43

## Properties
The value obtained for the mass density is 2.9 g cm⁻³. The total energy is -6.012 eV/atom. The calculated formation energy is -10.16 eV per formula unit. As for the total magnetization: 0.68 μB per formula unit.

[2]
Computed, not measured: crystalline MgSb2 at its relaxed geometry at the GGA-PBE level of DFT.

Cell: 12.5690 3.2175 8.3333 Å, 90.00 106.09 90.00°
With the nearest neighbours (Å) after each atom.
Positions (direct):
Mg: 0.1338 0.0000 0.0062  7 Sb 3.02-3.31, 5 Mg 3.22-3.36
Mg: 0.3662 0.5000 0.9938  7 Sb 3.02-3.31, 5 Mg 3.22-3.36
Mg: 0.6338 0.5000 0.0062  7 Sb 3.02-3.31, 5 Mg 3.22-3.36
Mg: 0.8662 0.0000 0.9938  7 Sb 3.02-3.31, 5 Mg 3.22-3.36
Sb: 0.0306 0.5000 0.2765  3 Sb 3.03-3.22, 4 Mg 3.12-3.31
Sb: 0.2254 0.0000 0.7050  3 Mg 3.02-3.04, 3 Sb 3.03-3.22
Sb: 0.2746 0.5000 0.2950  3 Mg 3.02-3.04, 3 Sb 3.03-3.22
Sb: 0.4694 0.0000 0.7235  3 Sb 3.03-3.22, 4 Mg 3.12-3.31
Sb: 0.5306 0.0000 0.2765  3 Sb 3.03-3.22, 4 Mg 3.12-3.31
Sb: 0.7254 0.5000 0.7050  3 Mg 3.02-3.04, 3 Sb 3.03-3.22
Sb: 0.7746 0.0000 0.2950  3 Mg 3.02-3.04, 3 Sb 3.03-3.22
Sb: 0.9694 0.5000 0.7235  3 Sb 3.03-3.22, 4 Mg 3.12-3.31

## Properties
The value obtained for the mass density is 5.5 g cm⁻³. The total energy is -3.289 eV/atom. The calculated formation energy is -0.39 eV per formula unit. As for the total magnetization: 0.00 μB per formula unit.

[3]
Computed, not measured: crystalline Mg7Si4 at its relaxed geometry at the GGA-PBE level of DFT.

Cell: 5.2716 6.1421 13.8581 Å, 91.31 100.36 91.77°
With the nearest neighbours (Å) after each atom.
Positions (direct):
Mg: 0.0000 0.0000 0.0000  2 Si 2.85-2.92, 4 Mg 3.07-3.19
Mg: 0.0036 0.5075 0.0674  3 Si 2.74-2.94, 1 Mg 3.04
Mg: 0.1134 0.9654 0.7650  4 Si 2.71-2.91
Mg: 0.2457 0.2327 0.2439  3 Si 2.69-2.79
Mg: 0.2845 0.4891 0.4551  2 Si 2.87-3.12, 7 Mg 3.03-3.15
Mg: 0.3030 0.9927 0.4443  2 Si 2.69-2.89, 2 Mg 2.99
Mg: 0.3757 0.7459 0.2462  6 Si 2.83-2.97, 2 Mg 3.09-3.17
Mg: 0.4673 0.7298 0.9774  4 Si 2.74-2.81, 1 Mg 3.04
Mg: 0.4734 0.2455 0.9286  4 Si 2.76-3.01, 1 Mg 3.04
Mg: 0.5637 0.2354 0.6649  5 Si 2.84-3.18, 2 Mg 3.06-3.15
Mg: 0.5824 0.7420 0.6345  3 Si 2.68-2.88, 1 Mg 2.96
Mg: 0.7619 0.2463 0.4022  3 Si 2.75-2.80, 2 Mg 2.99-3.05
Mg: 0.8063 0.7504 0.4531  4 Si 2.83-2.99, 7 Mg 2.96-3.15
Mg: 0.9131 0.5123 0.8442  3 Si 2.72-2.93
Si: 0.0398 0.1279 0.5826  1 Si 2.45, 2 Mg 2.69-2.71
Si: 0.0489 0.5178 0.6257  2 Si 2.45-2.56
Si: 0.3773 0.5550 0.7861  2 Si 2.56, 6 Mg 2.72-2.86
Si: 0.5382 0.4233 0.1238  2 Si 2.43-2.46
Si: 0.6245 0.0369 0.1237  2 Si 2.43-2.44
Si: 0.6353 0.9183 0.8163  1 Si 2.56, 5 Mg 2.68-2.81
Si: 0.8740 0.5348 0.2652  2 Si 2.40-2.46
Si: 0.8962 0.9264 0.2749  2 Si 2.40-2.44, 1 Mg 2.69

## Properties
The value obtained for the mass density is 2.1 g cm⁻³. The total energy is -2.947 eV/atom. The calculated formation energy is 0.77 eV per formula unit. As for the total magnetization: 0.00 μB per formula unit. As for the energy above the lowest structure with this stoichiometry: 20 meV/atom.

[4]
Computed, not measured: crystalline V3Si2Mo3 at its relaxed geometry at the GGA-PBE level of DFT.

Cell: 4.8095 4.8095 4.8095 Å, 89.89 89.89 89.89°
With the nearest neighbours (Å) after each atom.
Positions (direct):
V: 0.0000 0.2507 0.7493  2 Mo 2.40, 2 Si 2.66
V: 0.2507 0.7493 0.0000  2 Mo 2.40, 2 Si 2.66
V: 0.7493 0.0000 0.2507  2 Mo 2.40, 2 Si 2.66
Si: 0.2445 0.2445 0.2445  6 V 2.66-2.70, 6 Mo 2.67-2.73
Si: 0.7555 0.7555 0.7555  6 V 2.66-2.70, 6 Mo 2.67-2.73
Mo: 0.2499 0.7501 0.5000  2 V 2.40, 2 Si 2.67
Mo: 0.5000 0.2499 0.7501  2 V 2.40, 2 Si 2.67
Mo: 0.7501 0.5000 0.2499  2 V 2.40, 2 Si 2.67

## Properties
The value obtained for the mass density is 7.4 g cm⁻³. The total energy is -9.309 eV/atom. The calculated formation energy is -3.83 eV per formula unit.

[5]
Computed, not measured: crystalline MgNb2 at its relaxed geometry at the GGA-PBE level of DFT.

Cell: 2.9181 2.9181 23.3740 Å, 90.00 90.00 120.00°
With the nearest neighbours (Å) after each atom.
Positions (direct):
Mg: 0.0000 0.0000 0.0000  6 Mg 2.92, 6 Nb 3.10
Mg: 0.3333 0.6667 0.6667  6 Mg 2.92, 6 Nb 3.10
Mg: 0.6667 0.3333 0.3333  6 Mg 2.92, 6 Nb 3.10
Nb: 0.0000 0.0000 0.2221  9 Nb 2.92-3.09, 3 Mg 3.10
Nb: 0.0000 0.0000 0.7779  9 Nb 2.92-3.09, 3 Mg 3.10
Nb: 0.3333 0.6667 0.4445  9 Nb 2.92-3.09, 3 Mg 3.10
Nb: 0.3333 0.6667 0.8888  9 Nb 2.92-3.09, 3 Mg 3.10
Nb: 0.6667 0.3333 0.1112  9 Nb 2.92-3.09, 3 Mg 3.10
Nb: 0.6667 0.3333 0.5555  9 Nb 2.92-3.09, 3 Mg 3.10

## Properties
The value obtained for the mass density is 6.1 g cm⁻³. The total energy is -6.978 eV/atom. The calculated formation energy is 0.87 eV per formula unit. As for the total magnetization: 0.00 μB per formula unit. As for the energy above the lowest structure with this stoichiometry: 142 meV/atom.

[6]
Computed, not measured: crystalline CdH20N6OF2 at its relaxed geometry at the GGA-PBE level of DFT.

Cell: 7.0752 7.0752 18.1845 Å, 90.00 90.00 120.00°
With the nearest neighbours (Å) after each atom.
Positions (direct):
Cd: 0.0000 0.5350 0.1667  6 N 2.38-2.43
Cd: 0.4650 0.4650 0.5000  6 N 2.38-2.43
Cd: 0.5350 0.0000 0.8333  6 N 2.38-2.43
H: 0.0070 0.2723 0.8356  1 N 1.02
H: 0.0596 0.9093 0.3647  1 O 1.00
H: 0.0651 0.7112 0.8254  1 N 1.03
H: 0.0675 0.2384 0.4137  1 N 1.03
H: 0.0907 0.1503 0.6980  1 O 1.00
H: 0.0939 0.4792 0.4401  1 N 1.03
H: 0.1303 0.8137 0.7400  1 N 1.02
H: 0.1503 0.0907 0.3020  1 O 1.00
H: 0.1709 0.9325 0.0804  1 N 1.03
H: 0.1783 0.6500 0.3231  1 N 1.03
H: 0.1804 0.6156 0.7663  1 N 1.03
H: 0.1863 0.3166 0.0733  1 N 1.02
H: 0.2306 0.7379 0.9476  1 N 1.03
H: 0.2384 0.0675 0.5863  1 N 1.03
H: 0.2450 0.6216 0.5947  1 N 1.02
H: 0.2621 0.4927 0.2810  1 N 1.03
H: 0.2653 0.9930 0.5023  1 N 1.02
H: 0.2723 0.0070 0.1644  1 N 1.02
H: 0.2888 0.3539 0.1588  1 N 1.03
H: 0.3166 0.1863 0.9267  1 N 1.02
H: 0.3500 0.5283 0.6565  1 N 1.03
H: 0.3539 0.2888 0.8412  1 N 1.03
H: 0.3766 0.7550 0.2614  1 N 1.02
H: 0.3784 0.6234 0.9281  1 N 1.02
H: 0.3844 0.5648 0.0997  1 N 1.03
H: 0.3853 0.9061 0.1067  1 N 1.03
H: 0.4352 0.8196 0.4330  1 N 1.03
H: 0.4717 0.8217 0.9898  1 N 1.03
H: 0.4792 0.0939 0.5599  1 N 1.03
H: 0.4927 0.2621 0.7190  1 N 1.03
H: 0.5073 0.7694 0.6143  1 N 1.03
H: 0.5208 0.6147 0.7734  1 N 1.03
H: 0.5283 0.3500 0.3435  1 N 1.03
H: 0.5648 0.3844 0.9003  1 N 1.03
H: 0.6147 0.5208 0.2266  1 N 1.03
H: 0.6156 0.1804 0.2337  1 N 1.03
H: 0.6216 0.2450 0.4053  1 N 1.02
H: 0.6234 0.3784 0.0719  1 N 1.02
H: 0.6461 0.9349 0.4921  1 N 1.03
H: 0.6500 0.1783 0.6769  1 N 1.03
H: 0.6834 0.8697 0.4067  1 N 1.02
H: 0.7112 0.0651 0.1746  1 N 1.03
H: 0.7277 0.7347 0.1690  1 N 1.02
H: 0.7347 0.7277 0.8310  1 N 1.02
H: 0.7379 0.2306 0.0524  1 N 1.03
H: 0.7550 0.3766 0.7386  1 N 1.02
H: 0.7616 0.8291 0.7471  1 N 1.03
H: 0.7694 0.5073 0.3857  1 N 1.03
H: 0.8137 0.1303 0.2600  1 N 1.02
H: 0.8196 0.4352 0.5670  1 N 1.03
H: 0.8217 0.4717 0.0102  1 N 1.03
H: 0.8291 0.7616 0.2529  1 N 1.03
H: 0.8497 0.9404 0.0313  1 O 1.00
H: 0.8697 0.6834 0.5933  1 N 1.02
H: 0.9061 0.3853 0.8933  1 N 1.03
H: 0.9093 0.0596 0.6353  1 O 1.00
H: 0.9325 0.1709 0.9196  1 N 1.03
H: 0.9349 0.6461 0.5079  1 N 1.03
H: 0.9404 0.8497 0.9687  1 O 1.00
H: 0.9930 0.2653 0.4977  1 N 1.02
N: 0.1047 0.3452 0.4569  3 H 1.02-1.03
N: 0.1755 0.7517 0.7831  3 H 1.02-1.03
N: 0.2318 0.6191 0.2743  3 H 1.02-1.03
N: 0.2406 0.8953 0.1235  3 H 1.02-1.03
N: 0.2483 0.4238 0.1164  3 H 1.02-1.03
N: 0.3452 0.1047 0.5431  3 H 1.02-1.03
N: 0.3809 0.6127 0.6076  3 H 1.02-1.03
N: 0.3873 0.7682 0.9410  3 H 1.02-1.03
N: 0.4238 0.2483 0.8836  3 H 1.02-1.03
N: 0.5762 0.8245 0.4497  3 H 1.02-1.03
N: 0.6127 0.3809 0.3924  3 H 1.02-1.03
N: 0.6191 0.2318 0.7257  3 H 1.02-1.03
N: 0.6548 0.7594 0.7902  3 H 1.02-1.03
N: 0.7517 0.1755 0.2169  3 H 1.02-1.03
N: 0.7594 0.6548 0.2098  3 H 1.02-1.03
N: 0.7682 0.3873 0.0590  3 H 1.02-1.03
N: 0.8245 0.5762 0.5503  3 H 1.02-1.03
N: 0.8953 0.2406 0.8765  3 H 1.02-1.03
O: 0.0000 0.0184 0.6667  2 H 1.00
O: 0.0184 0.0000 0.3333  2 H 1.00
O: 0.9816 0.9816 0.0000  2 H 1.00
F: 0.1084 0.7444 0.4165  1 H 1.66
F: 0.2556 0.3640 0.7498  1 H 1.66
F: 0.3640 0.2556 0.2502  1 H 1.66
F: 0.6360 0.8916 0.0831  1 H 1.66
F: 0.7444 0.1084 0.5835  1 H 1.66
F: 0.8916 0.6360 0.9169  1 H 1.66

## Properties
The value obtained for the mass density is 1.7 g cm⁻³. The total energy is -4.885 eV/atom. The calculated formation energy is -20.59 eV per formula unit. As for the total magnetization: 0.00 μB per formula unit.

In the order shown, the computed volume values come out to 20.2 27.0 20.0 13.9 19.2 8.8 Å³ per atom.